Entry 1:
## RbMg14SiO16 (PBE)

Data for RbMg14SiO16 after structural relaxation.

a b c (Å): 8.6413 8.6413 4.5114
angles (deg): 90.00 90.00 90.00
Closest atoms and distances in Å follow each position.
Fractional positions:
Rb 0.0000 0.0000 0.0000  6 O 2.26-2.44
Mg 0.0000 0.2517 0.5000  6 O 2.15-2.27
Mg 0.0000 0.5000 0.0000  2 O 1.88
Mg 0.0000 0.7483 0.5000  6 O 2.15-2.27
Mg 0.2492 0.2492 0.0000  6 O 2.17-2.26
Mg 0.2493 0.5000 0.5000  6 O 2.14-2.27
Mg 0.2492 0.7508 0.0000  6 O 2.17-2.26
Mg 0.2517 0.0000 0.5000  6 O 2.15-2.27
Mg 0.5000 0.0000 0.0000  2 O 1.88
Mg 0.5000 0.2493 0.5000  6 O 2.14-2.27
Mg 0.5000 0.7507 0.5000  6 O 2.14-2.27
Mg 0.7483 0.0000 0.5000  6 O 2.15-2.27
Mg 0.7508 0.2492 0.0000  6 O 2.17-2.26
Mg 0.7507 0.5000 0.5000  6 O 2.14-2.27
Mg 0.7508 0.7508 0.0000  6 O 2.17-2.26
Si 0.5000 0.5000 0.0000  4 O 1.94
O 0.0000 0.0000 0.5000  4 Mg 2.18, 2 Rb 2.26
O 0.0000 0.2819 0.0000  1 Mg 1.88
O 0.0000 0.5000 0.5000  6 Mg 2.15-2.26
O 0.0000 0.7181 0.0000  1 Mg 1.88
O 0.2518 0.2518 0.5000  6 Mg 2.14-2.26
O 0.2518 0.7482 0.5000  6 Mg 2.14-2.26
O 0.2755 0.5000 0.0000  1 Si 1.94
O 0.2819 0.0000 0.0000  1 Mg 1.88
O 0.5000 0.0000 0.5000  6 Mg 2.15-2.26
O 0.5000 0.2755 0.0000  1 Si 1.94
O 0.5000 0.5000 0.5000  4 Mg 2.17, 2 Si 2.26
O 0.5000 0.7245 0.0000  1 Si 1.94
O 0.7181 0.0000 0.0000  1 Mg 1.88
O 0.7245 0.5000 0.0000  1 Si 1.94
O 0.7482 0.2518 0.5000  6 Mg 2.14-2.26
O 0.7482 0.7482 0.5000  6 Mg 2.14-2.26

Summary:
Total energy in eV per atom: -5.72
Relative energy among the computed polymorphs in meV/atom: 31
Energy relative to the elements in eV/f.u.: -86.05



Entry 2:
## GdYCo4 (PBE)

Data for GdYCo4 after structural relaxation.

a b c (Å): 5.1765 5.1765 5.1765
angles (deg): 60.00 60.00 60.00
Closest atoms and distances in Å follow each position.
Fractional positions:
Gd 0.0000 0.0000 0.0000  12 Co 3.03, 4 Y 3.17
Y 0.2500 0.2500 0.2500  12 Co 3.04, 4 Gd 3.17
Co 0.1250 0.6250 0.6250  6 Co 2.59
Co 0.6250 0.1250 0.6250  6 Co 2.59
Co 0.6250 0.6250 0.1250  6 Co 2.59
Co 0.6250 0.6250 0.6250  6 Co 2.59

Summary:
Total energy in eV per atom: -8.31
Energy relative to the elements in eV/f.u.: -0.86



Entry 3:
## Ti4Zn3SnO12 (PBE)

Data for Ti4Zn3SnO12 after structural relaxation.

a b c (Å): 6.5459 6.5459 6.5459
angles (deg): 109.47 109.47 109.47
Closest atoms and distances in Å follow each position.
Fractional positions:
Ti 0.0000 0.0000 0.5000  6 O 1.99
Ti 0.0000 0.5000 0.0000  6 O 1.99
Ti 0.5000 0.0000 0.0000  6 O 1.99
Ti 0.5000 0.5000 0.5000  6 O 1.99
Zn 0.0000 0.5000 0.5000  4 O 2.06
Zn 0.5000 0.0000 0.5000  4 O 2.06
Zn 0.5000 0.5000 0.0000  4 O 2.06
Sn 0.0000 0.0000 0.0000  12 O 2.69
O 0.1154 0.3027 0.8128  2 Ti 1.99, 1 Zn 2.06
O 0.1872 0.4899 0.3027  2 Ti 1.99, 1 Zn 2.06
O 0.1872 0.8846 0.6973  2 Ti 1.99, 1 Zn 2.06
O 0.3027 0.1872 0.4899  2 Ti 1.99, 1 Zn 2.06
O 0.3027 0.8128 0.1154  2 Ti 1.99, 1 Zn 2.06
O 0.4899 0.3027 0.1872  2 Ti 1.99, 1 Zn 2.06
O 0.5101 0.6973 0.8128  2 Ti 1.99, 1 Zn 2.06
O 0.6973 0.1872 0.8846  2 Ti 1.99, 1 Zn 2.06
O 0.6973 0.8128 0.5101  2 Ti 1.99, 1 Zn 2.06
O 0.8128 0.1154 0.3027  2 Ti 1.99, 1 Zn 2.06
O 0.8128 0.5101 0.6973  2 Ti 1.99, 1 Zn 2.06
O 0.8846 0.6973 0.1872  2 Ti 1.99, 1 Zn 2.06

Summary:
Total energy in eV per atom: -7.22
Relative energy among the computed polymorphs in meV/atom: 0
Energy relative to the elements in eV/f.u.: -53.98



Entry 4:
## Na7Ca2Y2P5SO24 (PBE)

Data for Na7Ca2Y2P5SO24 after structural relaxation.

a b c (Å): 9.4051 9.4172 23.3090
angles (deg): 89.97 89.93 60.09
Closest atoms and distances in Å follow each position.
Fractional positions:
Na 0.0000 0.0000 0.0000  6 O 2.51-2.79
Na 0.0001 0.3197 0.8399  3 O 2.38-2.64
Na 0.0117 0.3661 0.4990  4 O 2.46-2.67
Na 0.2848 0.7127 0.4993  5 O 2.49-2.71
Na 0.2868 0.3481 0.9962  2 O 2.32-2.56
Na 0.2912 0.0212 0.4189  5 O 2.47-2.72
Na 0.3191 0.6481 0.1747  5 O 2.53-2.66
Na 0.3201 0.0155 0.9196  6 O 2.54-2.72
Na 0.3201 0.3923 0.6709  6 O 2.52-2.82
Na 0.3296 0.3463 0.3365  6 O 2.59-2.88
Na 0.6306 0.0537 0.8331  3 O 2.39-2.65
Na 0.6310 0.6746 0.3321  4 O 2.38-2.66
Na 0.6372 0.3585 0.7479  4 O 2.49-2.67
Na 0.6629 0.9863 0.5052  4 O 2.45-2.70
Na 0.6662 0.3513 0.2490  6 O 2.53-2.80
Na 0.6896 0.0225 0.1641  5 O 2.52-2.65
Na 0.6921 0.6480 0.6651  5 O 2.52-2.66
Na 0.9444 0.0225 0.6687  5 O 2.51-2.66
Na 0.9487 0.3938 0.1686  6 O 2.54-2.83
Na 0.9560 0.6873 0.0847  5 O 2.50-2.78
Na 0.9884 0.6871 0.5867  6 O 2.61-2.71
Ca 0.6549 0.3527 0.6005  6 O 2.26-2.40
Ca 0.6585 0.3551 0.1007  6 O 2.25-2.39
Ca 0.9867 0.6862 0.9332  6 O 2.27-2.37
Ca 0.9925 0.6863 0.2392  6 O 2.27-2.38
Ca 0.9932 0.6875 0.4316  6 O 2.25-2.36
Ca 0.9990 0.6872 0.7404  6 O 2.29-2.40
Y 0.3080 0.0206 0.2681  6 O 2.13-2.38
Y 0.3139 0.0181 0.7677  6 O 2.16-2.35
Y 0.3193 0.0214 0.5713  6 O 2.21-2.30
Y 0.3252 0.0188 0.0706  6 O 2.17-2.37
Y 0.6524 0.3545 0.9058  6 O 2.18-2.34
Y 0.6606 0.3511 0.4065  6 O 2.18-2.38
P 0.0164 0.3250 0.6701  4 O 1.55-1.56
P 0.0180 0.0182 0.1656  4 O 1.55-1.56
P 0.2993 0.3711 0.8364  4 O 1.54-1.59
P 0.3053 0.6810 0.3368  4 O 1.54-1.58
P 0.3211 0.3202 0.1704  4 O 1.55-1.56
P 0.3210 0.7182 0.6670  4 O 1.54-1.56
P 0.3501 0.3505 0.5031  4 O 1.54-1.57
P 0.6204 0.7210 0.1730  4 O 1.55-1.56
P 0.6228 0.0176 0.6709  4 O 1.55-1.56
P 0.6526 0.0515 0.0043  4 O 1.54-1.57
P 0.6525 0.6619 0.5033  4 O 1.54-1.57
P 0.9597 0.0474 0.5065  4 O 1.54-1.57
P 0.9656 0.3489 0.0034  4 O 1.54-1.59
P 0.9821 0.0014 0.8383  4 O 1.54-1.59
P 0.9863 0.3820 0.3366  4 O 1.54-1.57
S 0.3476 0.6585 0.0049  4 O 1.47-1.50
S 0.6748 0.9964 0.3357  4 O 1.47-1.51
S 0.6841 0.6862 0.8343  4 O 1.47-1.50
O 0.0006 0.4972 0.6718  1 P 1.55
O 0.0010 0.8631 0.1702  1 P 1.55
O 0.0030 0.4909 0.0001  1 P 1.55
O 0.0059 0.4643 0.3909  1 P 1.54
O 0.1083 0.2211 0.7236  1 P 1.55
O 0.1150 0.0322 0.2168  1 P 1.55
O 0.1160 0.0032 0.1100  1 P 1.55
O 0.1189 0.2351 0.6159  1 P 1.56
O 0.1334 0.0285 0.8342  1 P 1.57
O 0.1335 0.0328 0.5053  1 P 1.57
O 0.1348 0.1812 0.0021  1 P 1.59
O 0.1480 0.2114 0.3327  1 P 1.57
O 0.1633 0.4913 0.1718  1 P 1.55
O 0.1633 0.7044 0.6702  1 P 1.55
O 0.1755 0.5033 0.4991  1 P 1.56
O 0.1837 0.6706 0.9999  1 S 1.49
O 0.1934 0.4544 0.8897  1 P 1.54
O 0.2076 0.6987 0.3919  1 P 1.54
O 0.2189 0.4649 0.7807  1 P 1.54
O 0.2207 0.6645 0.2827  1 P 1.54
O 0.3082 0.2293 0.1164  1 P 1.56
O 0.3096 0.8130 0.6110  1 P 1.55
O 0.3213 0.1929 0.8344  1 P 1.59
O 0.3228 0.8283 0.0046  1 S 1.50
O 0.3336 0.8157 0.7180  1 P 1.54
O 0.3348 0.1919 0.5047  1 P 1.57
O 0.3358 0.2163 0.2243  1 P 1.56
O 0.3392 0.8279 0.3337  1 P 1.57
O 0.4248 0.5701 0.0581  1 S 1.47
O 0.4332 0.3675 0.5573  1 P 1.54
O 0.4515 0.5701 0.9546  1 S 1.49
O 0.4566 0.3325 0.4492  1 P 1.56
O 0.4764 0.3385 0.1683  1 P 1.55
O 0.4772 0.3458 0.8408  1 P 1.57
O 0.4766 0.5452 0.6681  1 P 1.56
O 0.4781 0.5189 0.3393  1 P 1.58
O 0.4914 0.0410 0.0043  1 P 1.57
O 0.4923 0.8338 0.5050  1 P 1.57
O 0.5083 0.0099 0.3331  1 S 1.51
O 0.5178 0.8360 0.8313  1 S 1.50
O 0.5206 0.0272 0.7248  1 P 1.55
O 0.5223 0.8301 0.1215  1 P 1.55
O 0.5256 0.8045 0.2288  1 P 1.55
O 0.5332 0.0062 0.6163  1 P 1.56
O 0.6338 0.1626 0.9512  1 P 1.57
O 0.6354 0.5488 0.1700  1 P 1.56
O 0.6347 0.5710 0.4502  1 P 1.56
O 0.6363 0.1756 0.6703  1 P 1.56
O 0.6461 0.1677 0.3398  1 S 1.50
O 0.6649 0.1362 0.0590  1 P 1.54
O 0.6683 0.5370 0.8415  1 S 1.49
O 0.6749 0.5603 0.5579  1 P 1.54
O 0.7569 0.8995 0.3876  1 S 1.48
O 0.7689 0.7083 0.8834  1 S 1.47
O 0.7704 0.9183 0.2838  1 S 1.47
O 0.7784 0.6633 0.7807  1 S 1.48
O 0.7931 0.7051 0.1719  1 P 1.56
O 0.7953 0.8613 0.6719  1 P 1.55
O 0.8031 0.6869 0.4977  1 P 1.55
O 0.8114 0.8833 0.9993  1 P 1.55
O 0.8262 0.1794 0.8414  1 P 1.59
O 0.8302 0.3638 0.3408  1 P 1.56
O 0.8443 0.3399 0.6695  1 P 1.55
O 0.8458 0.1754 0.1668  1 P 1.56
O 0.8633 0.1629 0.4560  1 P 1.55
O 0.8673 0.1199 0.5630  1 P 1.54
O 0.8695 0.3410 0.9497  1 P 1.57
O 0.8711 0.3621 0.0588  1 P 1.54
O 0.9570 0.9221 0.7843  1 P 1.54
O 0.9626 0.4869 0.2828  1 P 1.54
O 0.9799 0.8745 0.4992  1 P 1.55
O 0.9964 0.9047 0.8931  1 P 1.54

Summary:
Total energy in eV per atom: -6.79
Energy relative to the elements in eV/f.u.: -118.82